Record 1
Below is a relaxed structure of MgCuSb2O7, with properties calculated at the GGA-PBE level.

a = 9.395 Å, b = 8.807 Å, c = 11.140 Å
α = 90.00°, β = 101.20°, γ = 90.00°
Positions (direct):
Mg  0.000  0.059  0.250
Mg  0.000  0.941  0.750
Mg  0.342  0.447  0.914
Mg  0.342  0.553  0.414
Mg  0.658  0.447  0.586
Mg  0.658  0.553  0.086
Cu  0.000  0.433  0.250
Cu  0.000  0.567  0.750
Cu  0.304  0.071  0.912
Cu  0.304  0.929  0.412
Cu  0.696  0.071  0.588
Cu  0.696  0.929  0.088
Sb  0.036  0.270  0.962
Sb  0.036  0.730  0.462
Sb  0.304  0.230  0.203
Sb  0.304  0.770  0.703
Sb  0.356  0.242  0.625
Sb  0.356  0.758  0.125
Sb  0.644  0.242  0.875
Sb  0.644  0.758  0.375
Sb  0.696  0.230  0.297
Sb  0.696  0.770  0.797
Sb  0.964  0.270  0.538
Sb  0.964  0.730  0.038
O  0.035  0.079  0.892
O  0.035  0.921  0.392
O  0.060  0.261  0.143
O  0.060  0.739  0.643
O  0.104  0.437  0.876
O  0.104  0.563  0.376
O  0.165  0.334  0.568
O  0.165  0.666  0.068
O  0.224  0.076  0.292
O  0.224  0.924  0.792
O  0.277  0.253  0.021
O  0.277  0.747  0.521
O  0.312  0.426  0.266
O  0.312  0.574  0.766
O  0.349  0.040  0.564
O  0.349  0.960  0.064
O  0.375  0.230  0.803
O  0.375  0.770  0.303
O  0.438  0.399  0.545
O  0.438  0.601  0.045
O  0.500  0.150  0.250
O  0.500  0.850  0.750
O  0.562  0.399  0.955
O  0.562  0.601  0.455
O  0.625  0.230  0.697
O  0.625  0.770  0.197
O  0.651  0.040  0.936
O  0.651  0.960  0.436
O  0.688  0.426  0.234
O  0.688  0.574  0.734
O  0.723  0.253  0.479
O  0.723  0.747  0.979
O  0.776  0.076  0.208
O  0.776  0.924  0.708
O  0.835  0.334  0.932
O  0.835  0.666  0.432
O  0.896  0.437  0.624
O  0.896  0.563  0.124
O  0.940  0.261  0.357
O  0.940  0.739  0.857
O  0.965  0.079  0.608
O  0.965  0.921  0.108

Calculated values
crystal system	monoclinic
symmetry	P2/c (13)

Record 2
Below is a relaxed structure of MgCu2Se2O8, with properties calculated at the GGA-PBE level.

a = 5.649 Å, b = 5.649 Å, c = 7.490 Å
α = 90.24°, β = 90.24°, γ = 58.33°
Positions (direct):
Mg  0.000  0.000  0.000
Cu  0.250  0.250  0.340
Cu  0.253  0.253  0.665
Se  0.545  0.545  0.505
Se  0.730  0.730  0.005
O  0.387  0.887  0.008
O  0.390  0.903  0.504
O  0.447  0.447  0.316
O  0.449  0.449  0.695
O  0.836  0.836  0.830
O  0.841  0.841  0.176
O  0.887  0.387  0.008
O  0.903  0.390  0.504

Calculated values
crystal system	monoclinic
symmetry	Cm (8)
energy above the most stable polymorph in this dataset	0.0583	eV per atom

Record 3
Below is a relaxed structure of MgCu2Se2O8, with properties calculated at the GGA-PBE level.

a = 6.495 Å, b = 5.242 Å, c = 5.242 Å
α = 72.61°, β = 90.00°, γ = 90.00°
Positions (direct):
Mg  0.000  0.000  0.000
Cu  0.287  0.330  0.330
Cu  0.713  0.330  0.330
Se  0.000  0.670  0.670
Se  0.500  0.963  0.963
O  0.000  0.016  0.593
O  0.000  0.593  0.016
O  0.213  0.559  0.559
O  0.284  0.092  0.092
O  0.500  0.107  0.619
O  0.500  0.619  0.107
O  0.716  0.092  0.092
O  0.787  0.559  0.559

Calculated values
crystal system	orthorhombic
symmetry	Amm2 (38)
energy above the most stable polymorph in this dataset	0.0000	eV per atom

Record 4
Below is a relaxed structure of MgCu2Se2O8, with properties calculated at the GGA-PBE level.

a = 5.297 Å, b = 5.297 Å, c = 6.641 Å
α = 94.66°, β = 94.66°, γ = 69.71°
Positions (direct):
Mg  0.000  0.000  0.000
Cu  0.500  0.500  0.000
Cu  0.500  0.500  0.500
Se  0.170  0.170  0.702
Se  0.830  0.830  0.298
O  0.173  0.740  0.245
O  0.260  0.827  0.755
O  0.278  0.278  0.506
O  0.281  0.281  0.931
O  0.719  0.719  0.069
O  0.722  0.722  0.494
O  0.740  0.173  0.245
O  0.827  0.260  0.755

Calculated values
crystal system	monoclinic
symmetry	C2/m (12)
energy above the most stable polymorph in this dataset	0.1044	eV per atom

Record 5
Below is a relaxed structure of MgCuSi4O10, with properties calculated at the GGA-PBE level.

a = 7.237 Å, b = 7.237 Å, c = 14.869 Å
α = 90.00°, β = 90.00°, γ = 90.00°
Positions (direct):
Mg  0.250  0.750  0.000
Mg  0.250  0.750  0.500
Mg  0.750  0.250  0.000
Mg  0.750  0.250  0.500
Cu  0.250  0.250  0.073
Cu  0.250  0.250  0.573
Cu  0.750  0.750  0.427
Cu  0.750  0.750  0.927
Si  0.008  0.581  0.144
Si  0.008  0.919  0.644
Si  0.081  0.508  0.356
Si  0.081  0.992  0.856
Si  0.419  0.508  0.856
Si  0.419  0.992  0.356
Si  0.492  0.581  0.644
Si  0.492  0.919  0.144
Si  0.508  0.081  0.856
Si  0.508  0.419  0.356
Si  0.581  0.008  0.644
Si  0.581  0.492  0.144
Si  0.919  0.008  0.144
Si  0.919  0.492  0.644
Si  0.992  0.081  0.356
Si  0.992  0.419  0.856
O  0.004  0.697  0.623
O  0.004  0.803  0.123
O  0.010  0.666  0.425
O  0.010  0.834  0.925
O  0.050  0.550  0.250
O  0.050  0.950  0.750
O  0.166  0.510  0.075
O  0.166  0.990  0.575
O  0.197  0.504  0.877
O  0.197  0.996  0.377
O  0.303  0.504  0.377
O  0.303  0.996  0.877
O  0.334  0.510  0.575
O  0.334  0.990  0.075
O  0.450  0.550  0.750
O  0.450  0.950  0.250
O  0.490  0.666  0.925
O  0.490  0.834  0.425
O  0.496  0.697  0.123
O  0.496  0.803  0.623
O  0.504  0.197  0.377
O  0.504  0.303  0.877
O  0.510  0.166  0.575
O  0.510  0.334  0.075
O  0.550  0.050  0.750
O  0.550  0.450  0.250
O  0.666  0.010  0.925
O  0.666  0.490  0.425
O  0.697  0.004  0.123
O  0.697  0.496  0.623
O  0.803  0.004  0.623
O  0.803  0.496  0.123
O  0.834  0.010  0.425
O  0.834  0.490  0.925
O  0.950  0.050  0.250
O  0.950  0.450  0.750
O  0.990  0.166  0.075
O  0.990  0.334  0.575
O  0.996  0.197  0.877
O  0.996  0.303  0.377

Calculated values
crystal system	tetragonal
symmetry	P4/ncc (130)

Record 6
Below is a relaxed structure of Mg6CuSiO8, with properties calculated at the GGA-PBE level.

a = 4.254 Å, b = 4.254 Å, c = 8.695 Å
α = 90.00°, β = 90.00°, γ = 90.00°
Positions (direct):
Mg  0.000  0.000  0.000
Mg  0.000  0.500  0.250
Mg  0.000  0.500  0.750
Mg  0.500  0.000  0.250
Mg  0.500  0.000  0.750
Mg  0.500  0.500  0.000
Cu  0.000  0.000  0.500
Si  0.500  0.500  0.500
O  0.000  0.000  0.235
O  0.000  0.000  0.765
O  0.000  0.500  0.000
O  0.000  0.500  0.500
O  0.500  0.000  0.000
O  0.500  0.000  0.500
O  0.500  0.500  0.258
O  0.500  0.500  0.742

Calculated values
crystal system	tetragonal
symmetry	P4/mmm (123)
energy above the most stable polymorph in this dataset	0.0345	eV per atom

Record 7
Below is a relaxed structure of Mg6CuSiO8, with properties calculated at the GGA-PBE level.

a = 4.289 Å, b = 4.289 Å, c = 8.583 Å
α = 90.00°, β = 90.00°, γ = 90.00°
Positions (direct):
Mg  0.000  0.000  0.000
Mg  0.000  0.000  0.500
Mg  0.000  0.500  0.241
Mg  0.000  0.500  0.759
Mg  0.500  0.000  0.241
Mg  0.500  0.000  0.759
Cu  0.500  0.500  0.000
Si  0.500  0.500  0.500
O  0.000  0.000  0.251
O  0.000  0.000  0.749
O  0.000  0.500  0.000
O  0.000  0.500  0.500
O  0.500  0.000  0.000
O  0.500  0.000  0.500
O  0.500  0.500  0.287
O  0.500  0.500  0.713

Calculated values
crystal system	tetragonal
symmetry	P4/mmm (123)
energy above the most stable polymorph in this dataset	0.0000	eV per atom

Record 8
Below is a relaxed structure of Mg3Cu2Si3O12, with properties calculated at the GGA-PBE level.

a = 10.147 Å, b = 10.147 Å, c = 10.147 Å
α = 109.47°, β = 109.47°, γ = 109.47°
Positions (direct):
Mg  0.125  0.250  0.375
Mg  0.125  0.375  0.750
Mg  0.250  0.375  0.125
Mg  0.250  0.875  0.625
Mg  0.375  0.125  0.250
Mg  0.375  0.750  0.125
Mg  0.625  0.250  0.875
Mg  0.625  0.875  0.750
Mg  0.750  0.125  0.375
Mg  0.750  0.625  0.875
Mg  0.875  0.625  0.250
Mg  0.875  0.750  0.625
Cu  0.000  0.000  0.000
Cu  0.000  0.000  0.500
Cu  0.000  0.500  0.000
Cu  0.000  0.500  0.500
Cu  0.500  0.000  0.000
Cu  0.500  0.000  0.500
Cu  0.500  0.500  0.000
Cu  0.500  0.500  0.500
Si  0.125  0.750  0.875
Si  0.125  0.875  0.250
Si  0.250  0.125  0.875
Si  0.250  0.625  0.375
Si  0.375  0.250  0.625
Si  0.375  0.625  0.750
Si  0.625  0.375  0.250
Si  0.625  0.750  0.375
Si  0.750  0.375  0.625
Si  0.750  0.875  0.125
Si  0.875  0.125  0.750
Si  0.875  0.250  0.125
O  0.021  0.212  0.125
O  0.021  0.310  0.896
O  0.087  0.712  0.690
O  0.087  0.875  0.396
O  0.104  0.625  0.413
O  0.104  0.979  0.690
O  0.125  0.021  0.212
O  0.125  0.604  0.913
O  0.190  0.212  0.587
O  0.190  0.479  0.604
O  0.212  0.125  0.021
O  0.212  0.587  0.190
O  0.288  0.310  0.913
O  0.288  0.479  0.375
O  0.310  0.896  0.021
O  0.310  0.913  0.288
O  0.375  0.288  0.479
O  0.375  0.587  0.896
O  0.396  0.087  0.875
O  0.396  0.810  0.521
O  0.413  0.104  0.625
O  0.413  0.810  0.788
O  0.479  0.375  0.288
O  0.479  0.604  0.190
O  0.521  0.396  0.810
O  0.521  0.625  0.712
O  0.587  0.190  0.212
O  0.587  0.896  0.375
O  0.604  0.190  0.479
O  0.604  0.913  0.125
O  0.625  0.413  0.104
O  0.625  0.712  0.521
O  0.690  0.087  0.712
O  0.690  0.104  0.979
O  0.712  0.521  0.625
O  0.712  0.690  0.087
O  0.788  0.413  0.810
O  0.788  0.875  0.979
O  0.810  0.521  0.396
O  0.810  0.788  0.413
O  0.875  0.396  0.087
O  0.875  0.979  0.788
O  0.896  0.021  0.310
O  0.896  0.375  0.587
O  0.913  0.125  0.604
O  0.913  0.288  0.310
O  0.979  0.690  0.104
O  0.979  0.788  0.875

Calculated values
crystal system	cubic
symmetry	Ia-3d (230)

Record 9
Below is a relaxed structure of Mg3Cu9Si16O48, with properties calculated at the GGA-PBE level.

a = 8.202 Å, b = 8.232 Å, c = 14.223 Å
α = 78.50°, β = 74.14°, γ = 72.16°
Positions (direct):
Mg  0.000  0.000  0.000
Mg  0.500  0.249  0.752
Mg  0.500  0.751  0.248
Cu  0.000  0.500  0.500
Cu  0.241  0.717  0.469
Cu  0.242  0.217  0.968
Cu  0.258  0.033  0.782
Cu  0.258  0.534  0.280
Cu  0.742  0.466  0.720
Cu  0.742  0.967  0.218
Cu  0.758  0.783  0.032
Cu  0.759  0.283  0.531
Si  0.084  0.446  0.755
Si  0.084  0.946  0.252
Si  0.145  0.085  0.536
Si  0.145  0.583  0.035
Si  0.355  0.167  0.214
Si  0.355  0.666  0.714
Si  0.415  0.303  0.498
Si  0.416  0.803  0.998
Si  0.584  0.197  0.002
Si  0.585  0.697  0.502
Si  0.645  0.334  0.286
Si  0.645  0.833  0.786
Si  0.855  0.417  0.965
Si  0.855  0.915  0.464
Si  0.916  0.054  0.748
Si  0.916  0.554  0.245
O  0.001  0.243  0.002
O  0.001  0.262  0.497
O  0.016  0.070  0.831
O  0.017  0.577  0.325
O  0.069  0.005  0.649
O  0.069  0.500  0.147
O  0.191  0.093  0.210
O  0.191  0.593  0.710
O  0.204  0.950  0.456
O  0.210  0.449  0.954
O  0.240  0.269  0.777
O  0.240  0.769  0.275
O  0.257  0.481  0.476
O  0.261  0.981  0.975
O  0.290  0.302  0.294
O  0.291  0.802  0.794
O  0.308  0.656  0.040
O  0.310  0.155  0.541
O  0.430  0.247  0.101
O  0.431  0.746  0.601
O  0.484  0.679  0.420
O  0.485  0.180  0.919
O  0.500  0.007  0.748
O  0.500  0.493  0.751
O  0.500  0.507  0.249
O  0.500  0.993  0.252
O  0.515  0.820  0.081
O  0.516  0.321  0.580
O  0.569  0.254  0.399
O  0.570  0.753  0.899
O  0.690  0.845  0.459
O  0.692  0.344  0.960
O  0.709  0.198  0.206
O  0.710  0.698  0.706
O  0.739  0.019  0.025
O  0.743  0.519  0.524
O  0.760  0.231  0.725
O  0.760  0.731  0.223
O  0.790  0.551  0.046
O  0.796  0.050  0.544
O  0.809  0.407  0.290
O  0.809  0.907  0.790
O  0.931  0.500  0.853
O  0.931  0.995  0.351
O  0.983  0.423  0.675
O  0.984  0.930  0.169
O  0.999  0.738  0.503
O  0.999  0.757  0.998

Calculated values
crystal system	triclinic
symmetry	P-1 (2)

Record 10
Below is a relaxed structure of Sm2MgCuO4, with properties calculated at the GGA-PBE level.

a = 8.852 Å, b = 8.852 Å, c = 8.852 Å
α = 153.29°, β = 153.29°, γ = 38.14°
Positions (direct):
Sm  0.188  0.188  0.000
Sm  0.812  0.812  0.000
Mg  0.000  0.000  0.000
Cu  0.500  0.500  0.000
O  0.000  0.500  0.500
O  0.250  0.750  0.500
O  0.500  0.000  0.500
O  0.750  0.250  0.500

Calculated values
crystal system	tetragonal
symmetry	I4/mmm (139)

Spin magnetization? In order: 0.0909; 0.0000; 0.0000; 0.0000; 0.0626; 0.0003; 0.0000; 0.2000; 0.0133; 0.0109 μB/atom.
Uncorrected energy? In order: -379.68; -65.88; -66.64; -65.28; -465.30; -93.45; -94.00; -522.78; -522.24; -50.69 eV for the cell shown.